Entry 1:
This record from the Materials Project database describes an optimized crystal structure of Dy2Re3Si5. The functional is PBE-GGA.

abc: 11.000 11.000 5.560
angles: 90.00 90.00 90.00
Fractional positions:
Dy 0.077 0.238 0.000
Dy 0.238 0.923 0.000
Dy 0.262 0.423 0.500
Dy 0.423 0.738 0.500
Dy 0.577 0.262 0.500
Dy 0.738 0.577 0.500
Dy 0.762 0.077 0.000
Dy 0.923 0.762 0.000
Re 0.000 0.500 0.250
Re 0.000 0.500 0.750
Re 0.124 0.853 0.500
Re 0.147 0.124 0.500
Re 0.353 0.624 0.000
Re 0.376 0.353 0.000
Re 0.500 0.000 0.250
Re 0.500 0.000 0.750
Re 0.624 0.647 0.000
Re 0.647 0.376 0.000
Re 0.853 0.876 0.500
Re 0.876 0.147 0.500
Si 0.000 0.000 0.244
Si 0.000 0.000 0.756
Si 0.027 0.315 0.500
Si 0.173 0.673 0.250
Si 0.173 0.673 0.750
Si 0.185 0.473 0.000
Si 0.315 0.973 0.500
Si 0.327 0.173 0.250
Si 0.327 0.173 0.750
Si 0.473 0.815 0.000
Si 0.500 0.500 0.256
Si 0.500 0.500 0.744
Si 0.527 0.185 0.000
Si 0.673 0.827 0.250
Si 0.673 0.827 0.750
Si 0.685 0.027 0.500
Si 0.815 0.527 0.000
Si 0.827 0.327 0.250
Si 0.827 0.327 0.750
Si 0.973 0.685 0.500

Values from the calculation:
ΔH_f (0 K) = -0.558 eV per atom
raw total energy = -0.5851 Ry per atom



Entry 2:
This record from the Materials Project database describes an optimized crystal structure of TiSn3. The functional is PBE-GGA.

abc: 6.286 6.286 5.493
angles: 90.00 90.00 120.00
Fractional positions:
Ti 0.333 0.667 0.250
Ti 0.667 0.333 0.750
Sn 0.171 0.342 0.750
Sn 0.171 0.829 0.750
Sn 0.342 0.171 0.250
Sn 0.658 0.829 0.750
Sn 0.829 0.171 0.250
Sn 0.829 0.658 0.250

Values from the calculation:
size of the total moment = 0.34 μB per cell
ΔH_f (0 K) = 0.102 eV per atom
raw total energy = -0.3586 Ry per atom



Entry 3:
This record from the Materials Project database describes an optimized crystal structure of Pr2SiTeO4. The functional is PBE-GGA.

abc: 6.402 7.322 11.356
angles: 90.00 90.00 90.00
Fractional positions:
Pr 0.112 0.250 0.000
Pr 0.112 0.250 0.500
Pr 0.387 0.540 0.250
Pr 0.387 0.960 0.750
Pr 0.613 0.040 0.250
Pr 0.613 0.460 0.750
Pr 0.888 0.750 0.000
Pr 0.888 0.750 0.500
Si 0.386 0.750 0.000
Si 0.386 0.750 0.500
Si 0.614 0.250 0.000
Si 0.614 0.250 0.500
Te 0.097 0.576 0.750
Te 0.097 0.924 0.250
Te 0.903 0.076 0.750
Te 0.903 0.424 0.250
O 0.231 0.578 0.036
O 0.231 0.578 0.464
O 0.231 0.922 0.536
O 0.231 0.922 0.964
O 0.453 0.229 0.615
O 0.453 0.229 0.885
O 0.453 0.271 0.115
O 0.453 0.271 0.385
O 0.547 0.729 0.615
O 0.547 0.729 0.885
O 0.547 0.771 0.115
O 0.547 0.771 0.385
O 0.769 0.078 0.036
O 0.769 0.078 0.464
O 0.769 0.422 0.536
O 0.769 0.422 0.964

Values from the calculation:
size of the total moment = 0.00 μB per cell
ΔH_f (0 K) = -3.216 eV per atom
raw total energy = -0.5595 Ry per atom



Entry 4:
This record from the Materials Project database describes an optimized crystal structure of MgB2O7. The functional is PBE-GGA.

abc: 7.309 7.309 8.720
angles: 90.00 90.00 90.00
Fractional positions:
Mg 0.000 0.000 0.000
Mg 0.000 0.500 0.500
Mg 0.500 0.000 0.500
Mg 0.500 0.500 0.000
B 0.117 0.617 0.142
B 0.117 0.883 0.642
B 0.383 0.617 0.642
B 0.383 0.883 0.142
B 0.617 0.117 0.858
B 0.617 0.383 0.358
B 0.883 0.117 0.358
B 0.883 0.383 0.858
O 0.013 0.784 0.529
O 0.015 0.277 0.942
O 0.017 0.953 0.769
O 0.047 0.517 0.269
O 0.216 0.513 0.029
O 0.223 0.015 0.558
O 0.250 0.750 0.211
O 0.250 0.750 0.711
O 0.277 0.485 0.558
O 0.284 0.987 0.029
O 0.453 0.983 0.269
O 0.483 0.547 0.769
O 0.485 0.223 0.942
O 0.487 0.716 0.529
O 0.513 0.284 0.471
O 0.515 0.777 0.058
O 0.517 0.453 0.231
O 0.547 0.017 0.731
O 0.716 0.013 0.971
O 0.723 0.515 0.442
O 0.750 0.250 0.289
O 0.750 0.250 0.789
O 0.777 0.985 0.442
O 0.784 0.487 0.971
O 0.953 0.483 0.731
O 0.983 0.047 0.231
O 0.985 0.723 0.058
O 0.987 0.216 0.471

Values from the calculation:
size of the total moment = 24.00 μB per cell
ΔH_f (0 K) = -1.568 eV per atom
raw total energy = -0.4444 Ry per atom



Entry 5:
This record from the Materials Project database describes an optimized crystal structure of AgB2. The functional is PBE-GGA.

abc: 3.027 3.027 4.064
angles: 90.00 90.00 120.00
Fractional positions:
Ag 0.000 0.000 0.000
B 0.333 0.667 0.500
B 0.667 0.333 0.500

Values from the calculation:
size of the total moment = 0.00 μB per cell
ΔH_f (0 K) = 0.524 eV per atom
raw total energy = -0.3582 Ry per atom



Entry 6:
This record from the Materials Project database describes an optimized crystal structure of TaFe2. The functional is PBE-GGA.

abc: 4.765 4.765 7.895
angles: 90.00 90.00 120.00
Fractional positions:
Ta 0.333 0.667 0.066
Ta 0.333 0.667 0.434
Ta 0.667 0.333 0.566
Ta 0.667 0.333 0.934
Fe 0.000 0.000 0.000
Fe 0.000 0.000 0.500
Fe 0.170 0.341 0.750
Fe 0.170 0.830 0.750
Fe 0.341 0.170 0.250
Fe 0.659 0.830 0.750
Fe 0.830 0.170 0.250
Fe 0.830 0.659 0.250

Values from the calculation:
ΔH_f (0 K) = -0.196 eV per atom
raw total energy = -0.7199 Ry per atom